1.
117
Lattice="9.274 -0.001 0.009 -4.638 8.006 -0.025 0.024 -0.062 23.320" Properties=species:S:1:pos:R:3 comment="Na5La2Sc2P5SO24 | Materials Project | PBE | optimized geometry" crystal_system=triclinic pbc="T T T"
O 2.207 5.384 20.285
O -3.615 6.233 16.243
O 2.822 2.809 3.234
O 8.156 1.324 13.329
O -0.790 6.816 22.710
O 5.540 4.055 17.621
O -1.016 7.019 20.166
O 8.184 1.330 6.918
O -3.750 6.550 2.336
O 2.971 7.910 9.298
O 6.304 2.453 5.682
O 5.492 4.726 0.606
O 5.341 0.954 3.343
O 6.277 2.714 12.420
O 3.680 6.516 21.816
O 3.764 4.130 21.544
O -1.651 5.214 1.916
O 1.021 1.623 16.225
O 3.791 6.168 7.197
O -2.944 7.593 21.688
O 5.479 4.064 9.662
O 3.670 4.208 12.029
O 0.944 1.630 18.747
O 3.824 1.164 12.355
O 7.156 -0.038 16.000
O 3.687 1.166 5.775
O 0.928 1.472 9.186
O 3.656 0.796 14.871
O -0.947 3.517 20.167
O 3.782 1.088 21.532
O -0.989 3.911 13.396
O 5.400 1.143 9.727
O -2.273 5.543 11.051
O 1.357 6.945 10.865
O -1.727 5.185 8.613
O -0.850 3.835 22.700
O 1.646 5.523 5.966
O 0.863 1.377 2.352
O 7.415 -0.036 18.532
O 5.560 1.266 17.515
O 1.735 5.359 13.299
O 0.673 6.876 1.919
O -0.965 6.765 5.946
O 1.850 0.071 6.953
O -0.815 1.798 4.464
O 5.691 4.038 3.033
O 7.576 0.011 2.422
O -0.659 6.846 13.361
O 2.946 2.807 9.573
O 2.974 2.464 17.615
O -3.634 6.277 18.800
O -2.620 7.846 4.528
O -0.786 1.507 21.734
O 6.736 2.716 14.921
O -3.786 6.572 9.350
O 6.033 1.118 0.916
O 0.808 6.768 17.355
O 0.751 3.775 17.403
O 1.051 3.853 8.530
O 1.867 5.174 22.691
O 3.550 6.627 4.755
O -1.626 5.415 17.486
O 0.902 3.159 10.857
O 3.851 4.218 5.597
O 1.763 0.024 13.328
O 4.032 6.425 13.161
O 2.535 2.263 0.804
O 0.863 3.868 1.946
O -0.787 3.760 6.077
O 3.626 4.400 14.578
O 0.779 6.944 8.393
O 6.360 2.918 21.537
P 1.433 2.391 17.500
P 6.061 0.217 2.169
P 6.049 5.138 1.979
P -2.889 5.338 9.646
P 7.384 2.655 13.515
P 1.783 2.616 2.098
P -1.359 2.923 21.535
P 3.211 5.604 5.873
P -3.180 5.501 17.543
P -1.391 7.650 21.527
P 3.257 5.073 13.251
P 6.410 -0.027 17.357
P 1.439 7.763 9.546
P 3.293 0.232 13.474
P 7.871 2.358 5.800
Na 1.645 7.742 13.409
Na -1.323 2.633 2.156
Na 0.173 0.166 11.508
Na 3.380 5.371 9.625
Na 7.608 2.824 17.469
Na 5.952 -0.001 5.824
Na 9.210 0.069 0.170
Na -1.315 7.940 17.433
Na 6.008 5.257 21.587
Na -2.919 5.534 13.281
Na 0.286 5.179 15.477
Na 4.851 2.710 7.763
Na 4.592 2.535 19.460
Na 0.237 5.100 3.950
Na -1.684 7.821 2.122
Sc 4.563 7.971 3.619
Sc 4.558 7.920 8.003
Sc -0.010 5.343 0.524
Sc -0.109 5.276 7.360
Sc 4.707 2.579 11.162
Sc 4.621 2.811 4.284
La 0.136 5.309 19.137
La -0.025 5.240 11.674
La -4.611 7.958 15.010
La 4.551 2.761 15.830
La 9.213 0.027 19.993
La 4.648 2.518 23.176
S 1.449 2.803 9.526
S -1.864 7.978 5.802
S 2.851 5.299 21.603

=====

2.
105
Lattice="-2.290 0.038 -8.823 -3.157 -6.548 5.511 -19.015 13.574 5.073" Properties=species:S:1:pos:R:3 comment="NaLa2Sn2P3S3O24 | Materials Project | PBE | optimized geometry" crystal_system=triclinic pbc="T T T"
O -4.378 -4.119 4.912
O -18.276 4.697 3.529
O -4.130 2.660 -0.601
O -5.139 -4.442 0.535
O -13.093 5.365 -3.409
O -20.724 9.065 1.774
O -17.896 6.607 -0.450
O -7.597 1.545 -4.558
O -3.714 -2.193 0.226
O -6.473 0.519 2.375
O -11.506 6.477 -0.315
O -17.322 10.732 -3.120
O -11.708 2.365 -2.606
O -6.290 4.022 -0.084
O -10.277 -1.155 -1.223
O -9.291 0.715 4.321
O -12.732 -0.700 0.303
O -2.749 0.130 -0.040
O -10.028 4.983 -2.991
O -8.218 -2.693 -1.705
O -14.262 8.249 2.934
O -15.095 9.464 -3.671
O -4.363 1.474 2.032
O -20.038 6.017 6.194
O -14.157 3.375 2.110
O -15.293 6.204 -2.831
O -3.902 -3.381 2.658
O -11.546 1.782 4.914
O -10.553 0.081 6.445
O -14.808 1.589 6.932
O -17.995 11.100 5.335
O -15.185 5.041 0.675
O -2.596 -0.334 -5.340
O -20.576 10.319 -1.090
O -18.989 11.675 1.304
O -6.776 -5.127 -1.289
O -2.527 -1.521 -1.937
O -4.262 1.291 -4.332
O -8.142 -0.179 -2.034
O -12.795 4.601 4.180
O -15.839 4.073 8.029
O -6.321 -1.705 -4.408
O -16.316 7.369 3.633
O -8.712 4.310 1.806
O -20.715 6.059 8.540
O -14.294 2.282 4.636
O -18.218 8.625 5.857
O -20.222 10.193 6.054
O -11.910 6.854 3.910
O -15.732 2.661 0.395
O -20.129 5.635 -0.027
O -16.219 9.772 3.271
O -4.472 -3.296 -4.430
O -11.035 3.473 2.261
O -11.014 -0.762 2.032
O -4.814 -0.617 -1.334
O -21.886 8.555 3.880
O -6.313 2.347 -1.857
O -13.360 8.037 -0.332
O -10.181 3.602 -0.136
O -19.753 7.489 3.295
O -8.009 -2.141 3.346
O -16.138 8.316 1.408
O -12.878 0.837 2.160
O -8.579 2.978 -6.189
O -13.592 3.477 -0.267
O -21.826 6.927 2.134
O -16.403 9.090 -1.554
O -8.237 -1.260 0.275
O -16.909 5.562 6.448
O -21.777 7.560 6.979
O -9.256 1.855 1.370
Na -8.866 2.217 -2.240
Na -6.073 -2.227 1.469
Na -18.536 9.156 0.010
Sn -9.901 -1.699 7.199
Sn -17.759 2.336 0.000
Sn -18.563 11.633 -4.416
Sn -12.531 2.620 3.354
Sn -8.233 -4.517 -2.561
Sn -3.127 -4.071 0.756
S -21.162 6.194 7.112
S -14.405 5.769 -3.932
S -12.426 -0.560 1.745
S -7.898 1.665 -5.999
S -21.010 8.016 2.773
S -5.904 -3.086 -4.703
S -14.661 3.665 0.727
S -15.742 8.438 2.829
S -11.922 7.861 -0.038
La -18.154 6.550 4.863
La -15.658 7.135 -0.641
La -8.740 -0.193 2.285
La -21.357 11.344 0.929
La -11.784 4.366 -1.541
La -6.015 0.365 -3.014
P -5.380 3.369 -1.167
P -15.978 10.162 -2.593
P -3.145 1.095 -5.364
P -18.858 5.483 -0.905
P -3.431 -1.030 -0.805
P -18.663 10.017 6.264
P -9.765 3.275 1.316
P -8.720 -1.327 -1.183
P -10.158 1.208 5.454

=====

3.
108
Lattice="9.299 -0.012 0.020 -4.660 8.057 -0.031 0.049 -0.058 24.273" Properties=species:S:1:pos:R:3 comment="Na2La3TaP4S2O24 | Materials Project | PBE | optimized geometry" crystal_system=triclinic pbc="T T T"
O 8.351 1.318 14.197
O 6.471 2.776 6.087
O -0.919 3.763 14.185
O 8.266 1.620 22.008
O -0.960 6.997 23.552
O 5.775 4.003 9.857
O -0.515 6.960 21.067
O 3.589 3.800 22.424
O 1.524 5.521 6.397
O 3.760 4.392 12.906
O 0.625 3.917 18.702
O 0.905 3.905 8.793
O -1.608 5.305 8.779
O 0.904 7.002 11.299
O 0.797 6.772 8.777
O 5.128 6.402 1.794
O 5.795 4.103 18.202
O -2.535 7.691 4.910
O 5.411 0.946 18.216
O 3.016 2.547 0.603
O 5.569 1.270 0.671
O 1.705 0.138 14.159
O 2.076 0.030 7.348
O -3.179 6.370 17.000
O 2.792 7.891 9.977
O 3.319 6.419 4.833
O -0.719 1.946 4.841
O 2.523 7.575 17.002
O 5.339 4.150 0.589
O 3.870 0.946 6.052
O -1.883 5.249 11.300
O 3.624 1.008 15.365
O 2.027 0.010 22.066
O 3.963 6.460 14.142
O 5.489 4.296 3.127
O -1.105 4.044 21.063
O 1.135 1.273 1.805
O 2.855 2.871 18.189
O 6.691 2.536 12.942
O -1.927 5.215 1.814
O 8.296 1.642 7.375
O 3.754 4.366 15.343
O -0.924 3.573 23.529
O 6.203 2.999 22.407
O 7.522 0.380 1.806
O 2.887 3.034 9.867
O 1.147 1.569 19.473
O 3.751 6.238 7.329
O 2.859 2.510 3.145
O 0.729 2.031 17.019
O 3.756 6.270 22.019
O 5.644 1.109 3.121
O -3.521 6.560 9.955
O 3.608 0.980 12.929
O 2.001 5.389 23.553
O 0.952 6.546 18.695
O 6.646 2.577 15.373
O -0.919 6.626 6.336
O 4.247 1.126 22.454
O -0.854 6.977 14.192
O 0.995 3.710 11.223
O 0.843 1.733 9.908
O 5.525 6.242 19.478
O 1.156 3.821 1.888
O 0.790 7.174 1.828
O 7.401 0.089 19.490
O -1.488 5.528 18.687
O -0.632 3.949 6.417
O 5.206 1.000 9.885
O 1.715 4.995 21.073
O 1.855 5.242 14.167
O 3.561 4.134 6.044
La 4.681 2.643 16.793
La 4.765 2.641 11.533
La 9.268 -0.010 3.554
La -0.028 5.317 0.429
La 4.660 2.759 4.519
La 4.671 8.000 16.113
La -0.022 5.397 12.588
La 0.054 -0.034 20.723
La 4.576 7.963 8.494
Na 0.044 5.323 16.425
Na 0.047 5.138 3.884
Na -4.534 8.039 -0.010
Na 4.729 2.593 20.217
Na 4.623 7.880 12.223
Na 4.857 2.764 7.992
P 5.855 5.037 1.850
P 2.009 2.550 1.886
P 3.092 5.592 6.116
P 1.774 7.859 18.332
P 1.274 7.699 9.987
P -1.163 7.779 22.277
P -1.319 2.523 6.145
P -1.514 3.047 22.244
P 2.747 5.173 22.262
P 1.354 2.552 18.340
P -2.665 5.297 9.982
P -3.037 5.576 18.325
Ta 4.619 2.703 23.696
Ta 0.018 5.334 19.957
Ta 0.000 5.358 7.637
S 6.032 0.466 1.867
S 7.515 2.542 14.189
S 3.183 0.273 14.169
S 1.407 3.084 9.963
S 3.337 5.111 14.144
S -1.746 7.900 6.137

=====

4.
111
Lattice="-7.070 -5.785 -1.919 8.258 -1.027 -4.296 7.501 -14.906 17.810" Properties=species:S:1:pos:R:3 comment="Na3La3TaP5SO24 | Materials Project | PBE | optimized geometry" crystal_system=triclinic pbc="T T T"
O -1.479 -9.035 1.414
O 6.696 -9.519 1.624
O -1.098 -14.304 7.711
O 5.316 -14.759 15.758
O -4.968 -5.923 -0.467
O 3.439 -12.357 6.024
O 8.233 -8.496 5.107
O 0.016 -10.403 5.782
O 4.509 -13.905 7.747
O 6.894 -11.113 3.559
O 3.870 -8.166 3.825
O 7.641 -13.774 10.953
O 11.032 -15.985 11.091
O 4.448 -16.929 14.819
O -1.517 -5.774 -3.368
O 1.955 -3.634 -1.366
O 1.336 -14.798 8.182
O 6.555 -6.438 0.275
O 8.226 -5.133 -1.128
O 2.479 -9.752 5.248
O 7.435 -9.799 7.958
O 1.483 -8.222 0.874
O 5.209 -14.342 10.821
O 6.171 -13.481 12.977
O 5.940 -12.284 6.518
O 4.272 -4.936 -3.495
O 1.489 -19.473 13.345
O 10.214 -13.187 10.445
O -3.031 -10.456 2.505
O 9.040 -6.740 0.703
O 7.741 -15.752 7.089
O 5.912 -11.871 11.024
O 2.730 -12.788 1.984
O 11.531 -11.578 8.930
O -0.216 -6.656 2.916
O 7.680 -18.917 11.220
O 0.313 -7.481 -3.949
O 2.485 -12.178 9.773
O 2.529 -8.321 -1.336
O 2.067 -15.026 11.591
O 0.283 -2.507 0.218
O -0.584 -3.578 -1.896
O -2.471 -10.921 5.746
O 4.947 -14.280 5.272
O 9.080 -11.531 5.771
O 1.850 -10.779 7.865
O 3.099 -7.577 6.221
O 6.464 -17.897 13.179
O -0.782 -7.526 -1.647
O 3.200 -9.819 0.465
O 0.738 -13.090 6.419
O 8.941 -18.289 13.272
O -3.199 -4.456 -1.572
O 0.471 -16.578 12.779
O 12.224 -17.303 12.913
O 9.723 -14.212 13.034
O 3.143 -9.845 9.688
O 5.565 -18.435 9.021
O 3.250 -3.242 2.616
O 3.982 -19.067 13.179
O 7.272 -6.602 3.738
O 4.651 -5.135 2.117
O 1.448 -11.869 3.950
O 3.858 -16.697 9.416
O 0.425 -5.002 -0.020
O -2.601 -5.874 0.472
O 8.137 -16.433 11.756
O 5.046 -2.531 -1.730
O 3.775 -7.466 0.533
O 4.890 -9.287 5.863
O 10.132 -15.610 15.084
O 8.934 -15.233 9.238
La -2.139 -15.453 9.661
La -0.585 -6.928 0.592
La 6.389 -12.759 15.149
La 3.122 -14.462 9.544
La -4.407 -11.032 4.338
La 2.273 -8.931 -3.660
La 5.619 -7.431 2.221
La 6.916 -10.319 5.738
La 3.171 -2.849 -3.189
P -3.724 -5.067 -0.177
P -0.999 -7.289 -3.133
P 12.397 -16.750 11.515
P 6.839 -11.013 2.042
P 7.964 -6.493 -0.389
P 0.561 -3.683 -0.766
P 11.347 -12.059 10.384
P 6.185 -13.323 11.470
P 4.751 -13.238 6.390
P 8.956 -16.200 7.962
P 0.305 -14.486 7.100
P 7.825 -17.896 12.335
P 9.844 -14.204 14.639
P 3.645 -8.663 5.259
P 8.442 -7.069 4.620
Na 4.210 -16.628 12.225
Na 6.384 -3.930 -3.261
Na 0.524 -9.090 3.169
Na 4.400 -5.110 -0.467
Na 0.922 -8.184 6.676
Na 6.411 -15.635 9.360
Na 8.764 -21.621 11.611
Na 8.166 -12.425 8.410
Na 5.083 -14.169 2.764
S 4.376 -4.073 3.119
S 2.743 -8.456 0.131
S 2.077 -10.821 9.367
Ta 5.392 -18.806 14.683
Ta 9.354 -14.829 11.160
Ta 1.700 -11.508 5.841

=====

Number 1: ΔH_f (0 K) -116.49 eV/f.u.. Number 2: ΔH_f (0 K) -87.95 eV/f.u.. Number 3: ΔH_f (0 K) -105.27 eV/f.u.. Number 4: ΔH_f (0 K) -110.59 eV/f.u..